Computed, not measured: a relaxed structure of Mg2Al3WS8 at the PBE-GGA level of DFT.

abc: 7.2350 7.2350 18.0992
angles: 90.00 90.00 120.00
Space group R-3m (No. 166, hexagonal axes)
Asymmetric unit:
Mg: 0.0000 0.0000 0.1265 [6 per cell]
Al: 0.0000 0.5000 0.0000 [9 per cell]
W: 0.0000 0.0000 0.5000 [3 per cell]
S: 0.0000 0.0000 0.2618 [6 per cell]
S: 0.0309 0.5155 0.2559 [18 per cell]

- Energy of formation: -17.78 eV/f.u.